1.
{
  "formula": "FeOF",
  "functional": "PBE with a Hubbard U",
  "state": "relaxed",
  "space_group": "Pm",
  "total_energy_ev_per_cell": -323.342,
  "magmom_total_mub_per_fu": 4.99,
  "lattice_angstrom": [[14.123, 0.000, 0.000], [0.000, 3.098, 0.000], [-0.007, 0.000, 14.134]],
  "species": ["Fe", "Fe", "Fe", "Fe", "Fe", "Fe", "Fe", "Fe", "Fe", "Fe", "Fe", "Fe", "Fe", "Fe", "Fe", "Fe", "Fe", "Fe", "O", "O", "O", "O", "O", "O", "O", "O", "O", "O", "O", "O", "O", "O", "O", "O", "O", "O", "F", "F", "F", "F", "F", "F", "F", "F", "F", "F", "F", "F", "F", "F", "F", "F", "F", "F"],
  "frac_coords": [[0.000, 0.000, 0.000], [0.001, 0.000, 0.325], [0.148, 0.500, 0.161], [0.164, 0.500, 0.807], [0.182, 0.500, 0.500], [0.326, 0.000, 0.661], [0.327, 0.000, 0.333], [0.333, 0.000, 0.999], [0.485, 0.500, 0.808], [0.495, 0.500, 0.475], [0.504, 0.500, 0.139], [0.668, 0.000, 0.338], [0.673, 0.000, 0.989], [0.676, 0.000, 0.657], [0.825, 0.500, 0.821], [0.831, 0.500, 0.140], [0.839, 0.500, 0.473], [0.991, 0.000, 0.671], [0.061, 0.500, 0.265], [0.097, 0.000, 0.093], [0.100, 0.000, 0.759], [0.236, 0.000, 0.562], [0.264, 0.500, 0.386], [0.272, 0.500, 0.724], [0.429, 0.000, 0.088], [0.429, 0.000, 0.752], [0.433, 0.000, 0.424], [0.598, 0.500, 0.046], [0.603, 0.500, 0.391], [0.730, 0.500, 0.918], [0.764, 0.000, 0.753], [0.768, 0.000, 0.091], [0.773, 0.000, 0.421], [0.928, 0.500, 0.724], [0.938, 0.500, 0.056], [0.942, 0.500, 0.384], [0.062, 0.500, 0.591], [0.071, 0.500, 0.925], [0.104, 0.000, 0.435], [0.232, 0.000, 0.218], [0.235, 0.000, 0.896], [0.264, 0.500, 0.054], [0.392, 0.500, 0.923], [0.397, 0.500, 0.254], [0.401, 0.500, 0.593], [0.554, 0.000, 0.876], [0.564, 0.000, 0.219], [0.568, 0.000, 0.559], [0.598, 0.500, 0.714], [0.729, 0.500, 0.256], [0.730, 0.500, 0.586], [0.893, 0.000, 0.222], [0.900, 0.000, 0.890], [0.901, 0.000, 0.556]]
}



2.
{
  "formula": "Sr5Ca3TiMn7O24",
  "functional": "PBE with a Hubbard U",
  "state": "relaxed",
  "space_group": "Cm",
  "total_energy_ev_per_cell": -280.291,
  "magmom_total_mub_per_fu": 21.61,
  "lattice_angstrom": [[5.461, -5.460, 0.000], [5.461, 5.460, 0.000], [-0.002, 0.000, 7.719]],
  "species": ["Sr", "Sr", "Sr", "Sr", "Sr", "Ca", "Ca", "Ca", "Ti", "Mn", "Mn", "Mn", "Mn", "Mn", "Mn", "Mn", "O", "O", "O", "O", "O", "O", "O", "O", "O", "O", "O", "O", "O", "O", "O", "O", "O", "O", "O", "O", "O", "O", "O", "O"],
  "frac_coords": [[0.000, 0.000, 0.000], [0.000, 0.000, 0.497], [0.000, 0.503, 0.497], [0.503, 0.000, 0.497], [0.503, 0.503, 0.497], [0.000, 0.503, 0.000], [0.503, 0.000, 0.000], [0.504, 0.504, 0.000], [0.253, 0.253, 0.752], [0.252, 0.252, 0.248], [0.252, 0.751, 0.247], [0.252, 0.751, 0.750], [0.751, 0.252, 0.247], [0.751, 0.252, 0.750], [0.751, 0.751, 0.247], [0.751, 0.751, 0.750], [0.002, 0.254, 0.245], [0.002, 0.749, 0.245], [0.002, 0.749, 0.752], [0.252, 0.252, 0.495], [0.252, 0.501, 0.243], [0.252, 0.505, 0.753], [0.252, 0.751, 0.499], [0.253, 0.253, 0.002], [0.253, 0.998, 0.751], [0.254, 0.002, 0.245], [0.254, 0.749, 0.998], [0.501, 0.252, 0.243], [0.501, 0.751, 0.243], [0.501, 0.751, 0.754], [0.505, 0.252, 0.753], [0.749, 0.002, 0.245], [0.749, 0.002, 0.752], [0.749, 0.254, 0.998], [0.749, 0.749, 0.999], [0.751, 0.252, 0.499], [0.751, 0.501, 0.243], [0.751, 0.501, 0.754], [0.751, 0.751, 0.499], [0.998, 0.253, 0.751]]
}



3.
{
  "formula": "K4MnMo3O12",
  "functional": "PBE with a Hubbard U",
  "state": "relaxed",
  "space_group": "P-1",
  "total_energy_ev_per_cell": -259.422,
  "magmom_total_mub_per_fu": 5.00,
  "lattice_angstrom": [[7.974, 0.000, 0.000], [-2.845, 9.720, 0.000], [-2.995, -1.408, 9.779]],
  "species": ["K", "K", "K", "K", "K", "K", "K", "K", "Mn", "Mn", "Mo", "Mo", "Mo", "Mo", "Mo", "Mo", "O", "O", "O", "O", "O", "O", "O", "O", "O", "O", "O", "O", "O", "O", "O", "O", "O", "O", "O", "O", "O", "O", "O", "O"],
  "frac_coords": [[0.000, 0.000, 0.000], [0.150, 0.569, 0.887], [0.249, 0.524, 0.478], [0.273, 0.236, 0.774], [0.500, 0.000, 0.000], [0.727, 0.764, 0.226], [0.751, 0.476, 0.522], [0.850, 0.431, 0.113], [0.337, 0.121, 0.447], [0.663, 0.879, 0.553], [0.119, 0.846, 0.615], [0.262, 0.807, 0.252], [0.376, 0.356, 0.182], [0.624, 0.644, 0.818], [0.738, 0.193, 0.748], [0.881, 0.154, 0.385], [0.055, 0.686, 0.262], [0.108, 0.156, 0.492], [0.111, 0.670, 0.633], [0.176, 0.943, 0.780], [0.190, 0.426, 0.125], [0.247, 0.983, 0.266], [0.281, 0.781, 0.086], [0.294, 0.924, 0.539], [0.344, 0.213, 0.057], [0.386, 0.305, 0.352], [0.412, 0.511, 0.797], [0.461, 0.775, 0.370], [0.539, 0.225, 0.630], [0.588, 0.489, 0.203], [0.614, 0.695, 0.648], [0.656, 0.787, 0.943], [0.706, 0.076, 0.461], [0.719, 0.219, 0.914], [0.753, 0.017, 0.734], [0.810, 0.574, 0.875], [0.824, 0.057, 0.220], [0.889, 0.330, 0.367], [0.892, 0.844, 0.508], [0.945, 0.314, 0.738]]
}



4.
{
  "formula": "La5Mo32O54",
  "functional": "PBE with a Hubbard U",
  "state": "relaxed",
  "space_group": "P2_1/c",
  "total_energy_ev_per_cell": -1335.943,
  "magmom_total_mub_per_fu": 89.00,
  "lattice_angstrom": [[11.213, 0.000, 0.000], [0.000, 9.440, 0.000], [-6.615, 0.000, 24.475]],
  "species": ["La", "La", "La", "La", "La", "La", "La", "La", "La", "La", "Mo", "Mo", "Mo", "Mo", "Mo", "Mo", "Mo", "Mo", "Mo", "Mo", "Mo", "Mo", "Mo", "Mo", "Mo", "Mo", "Mo", "Mo", "Mo", "Mo", "Mo", "Mo", "Mo", "Mo", "Mo", "Mo", "Mo", "Mo", "Mo", "Mo", "Mo", "Mo", "Mo", "Mo", "Mo", "Mo", "Mo", "Mo", "Mo", "Mo", "Mo", "Mo", "Mo", "Mo", "Mo", "Mo", "Mo", "Mo", "Mo", "Mo", "Mo", "Mo", "Mo", "Mo", "Mo", "Mo", "Mo", "Mo", "Mo", "Mo", "Mo", "Mo", "Mo", "Mo", "O", "O", "O", "O", "O", "O", "O", "O", "O", "O", "O", "O", "O", "O", "O", "O", "O", "O", "O", "O", "O", "O", "O", "O", "O", "O", "O", "O", "O", "O", "O", "O", "O", "O", "O", "O", "O", "O", "O", "O", "O", "O", "O", "O", "O", "O", "O", "O", "O", "O", "O", "O", "O", "O", "O", "O", "O", "O", "O", "O", "O", "O", "O", "O", "O", "O", "O", "O", "O", "O", "O", "O", "O", "O", "O", "O", "O", "O", "O", "O", "O", "O", "O", "O", "O", "O", "O", "O", "O", "O", "O", "O", "O", "O", "O", "O", "O", "O", "O", "O", "O", "O", "O", "O", "O", "O", "O", "O"],
  "frac_coords": [[0.000, 0.000, 0.000], [0.000, 0.500, 0.500], [0.161, 0.018, 0.698], [0.161, 0.482, 0.198], [0.446, 0.510, 0.092], [0.446, 0.990, 0.592], [0.554, 0.010, 0.408], [0.554, 0.490, 0.908], [0.839, 0.518, 0.802], [0.839, 0.982, 0.302], [0.070, 0.645, 0.700], [0.070, 0.855, 0.200], [0.087, 0.650, 0.948], [0.087, 0.850, 0.448], [0.089, 0.644, 0.075], [0.089, 0.856, 0.575], [0.097, 0.634, 0.325], [0.097, 0.866, 0.825], [0.159, 0.129, 0.142], [0.159, 0.371, 0.642], [0.163, 0.135, 0.268], [0.163, 0.365, 0.768], [0.169, 0.138, 0.522], [0.169, 0.362, 0.022], [0.174, 0.129, 0.395], [0.174, 0.371, 0.895], [0.331, 0.635, 0.544], [0.331, 0.865, 0.044], [0.332, 0.648, 0.672], [0.332, 0.852, 0.172], [0.334, 0.633, 0.799], [0.334, 0.867, 0.299], [0.339, 0.648, 0.422], [0.339, 0.852, 0.922], [0.398, 0.126, 0.856], [0.398, 0.374, 0.356], [0.407, 0.148, 0.985], [0.407, 0.352, 0.485], [0.417, 0.144, 0.114], [0.417, 0.356, 0.614], [0.427, 0.139, 0.242], [0.427, 0.361, 0.742], [0.573, 0.639, 0.258], [0.573, 0.861, 0.758], [0.583, 0.644, 0.386], [0.583, 0.856, 0.886], [0.593, 0.648, 0.515], [0.593, 0.852, 0.015], [0.602, 0.626, 0.644], [0.602, 0.874, 0.144], [0.661, 0.148, 0.078], [0.661, 0.352, 0.578], [0.666, 0.133, 0.701], [0.666, 0.367, 0.201], [0.668, 0.148, 0.828], [0.668, 0.352, 0.328], [0.669, 0.135, 0.956], [0.669, 0.365, 0.456], [0.826, 0.629, 0.105], [0.826, 0.871, 0.605], [0.831, 0.638, 0.978], [0.831, 0.862, 0.478], [0.837, 0.635, 0.232], [0.837, 0.865, 0.732], [0.841, 0.629, 0.358], [0.841, 0.871, 0.858], [0.903, 0.134, 0.175], [0.903, 0.366, 0.675], [0.911, 0.144, 0.425], [0.911, 0.356, 0.925], [0.913, 0.150, 0.552], [0.913, 0.350, 0.052], [0.930, 0.145, 0.800], [0.930, 0.355, 0.300], [0.001, 0.002, 0.136], [0.001, 0.498, 0.636], [0.004, 0.000, 0.383], [0.004, 0.500, 0.883], [0.011, 0.510, 0.256], [0.011, 0.990, 0.756], [0.074, 0.210, 0.063], [0.074, 0.249, 0.694], [0.074, 0.251, 0.194], [0.074, 0.290, 0.563], [0.085, 0.249, 0.949], [0.085, 0.251, 0.449], [0.091, 0.242, 0.323], [0.091, 0.258, 0.823], [0.148, 0.717, 0.520], [0.148, 0.783, 0.020], [0.167, 0.741, 0.394], [0.167, 0.759, 0.894], [0.168, 0.722, 0.157], [0.168, 0.778, 0.657], [0.172, 0.740, 0.271], [0.172, 0.760, 0.771], [0.228, 0.004, 0.468], [0.228, 0.496, 0.968], [0.242, 0.501, 0.091], [0.242, 0.999, 0.591], [0.244, 0.006, 0.336], [0.244, 0.494, 0.836], [0.263, 0.507, 0.602], [0.263, 0.993, 0.102], [0.268, 0.510, 0.474], [0.268, 0.990, 0.974], [0.269, 0.521, 0.350], [0.269, 0.979, 0.850], [0.320, 0.227, 0.781], [0.320, 0.273, 0.281], [0.329, 0.245, 0.167], [0.329, 0.255, 0.667], [0.345, 0.247, 0.409], [0.345, 0.253, 0.909], [0.349, 0.226, 0.543], [0.349, 0.274, 0.043], [0.404, 0.746, 0.247], [0.404, 0.754, 0.747], [0.421, 0.740, 0.997], [0.421, 0.760, 0.497], [0.429, 0.716, 0.876], [0.429, 0.784, 0.376], [0.431, 0.744, 0.621], [0.431, 0.756, 0.121], [0.478, 0.000, 0.312], [0.478, 0.500, 0.812], [0.488, 0.501, 0.682], [0.488, 0.999, 0.182], [0.512, 0.001, 0.818], [0.512, 0.499, 0.318], [0.522, 0.000, 0.688], [0.522, 0.500, 0.188], [0.569, 0.244, 0.879], [0.569, 0.256, 0.379], [0.571, 0.216, 0.624], [0.571, 0.284, 0.124], [0.579, 0.240, 0.503], [0.579, 0.260, 0.003], [0.596, 0.246, 0.253], [0.596, 0.254, 0.753], [0.651, 0.726, 0.957], [0.651, 0.774, 0.457], [0.655, 0.747, 0.091], [0.655, 0.753, 0.591], [0.671, 0.745, 0.333], [0.671, 0.755, 0.833], [0.680, 0.727, 0.719], [0.680, 0.773, 0.219], [0.731, 0.021, 0.150], [0.731, 0.479, 0.650], [0.732, 0.010, 0.026], [0.732, 0.490, 0.526], [0.737, 0.007, 0.898], [0.737, 0.493, 0.398], [0.756, 0.506, 0.164], [0.756, 0.994, 0.664], [0.758, 0.001, 0.409], [0.758, 0.499, 0.909], [0.772, 0.504, 0.032], [0.772, 0.996, 0.532], [0.828, 0.240, 0.229], [0.828, 0.260, 0.729], [0.832, 0.222, 0.343], [0.832, 0.278, 0.843], [0.833, 0.241, 0.106], [0.833, 0.259, 0.606], [0.852, 0.217, 0.980], [0.852, 0.283, 0.480], [0.909, 0.742, 0.177], [0.909, 0.758, 0.677], [0.915, 0.749, 0.551], [0.915, 0.751, 0.051], [0.926, 0.710, 0.437], [0.926, 0.749, 0.806], [0.926, 0.751, 0.306], [0.926, 0.790, 0.937], [0.989, 0.010, 0.244], [0.989, 0.490, 0.744], [0.996, 0.000, 0.617], [0.996, 0.500, 0.117], [0.999, 0.502, 0.364], [0.999, 0.998, 0.864]]
}



5.
{
  "formula": "Li2MnBO4",
  "functional": "PBE with a Hubbard U",
  "state": "relaxed",
  "space_group": "P2_1/c",
  "e_above_lowest_polymorph_ev_per_fu": 0.00,
  "magmom_total_mub_per_fu": 4.00,
  "lattice_angstrom": [[6.662, 0.000, 0.000], [0.000, 5.164, 0.000], [-0.873, 0.000, 10.470]],
  "species": ["Li", "Li", "Li", "Li", "Li", "Li", "Li", "Li", "Mn", "Mn", "Mn", "Mn", "B", "B", "B", "B", "O", "O", "O", "O", "O", "O", "O", "O", "O", "O", "O", "O", "O", "O", "O", "O"],
  "frac_coords": [[0.097, 0.154, 0.292], [0.097, 0.346, 0.792], [0.209, 0.173, 0.569], [0.209, 0.327, 0.069], [0.791, 0.673, 0.931], [0.791, 0.827, 0.431], [0.903, 0.654, 0.208], [0.903, 0.846, 0.708], [0.493, 0.653, 0.653], [0.493, 0.847, 0.153], [0.507, 0.153, 0.847], [0.507, 0.347, 0.347], [0.189, 0.676, 0.438], [0.189, 0.824, 0.938], [0.811, 0.176, 0.062], [0.811, 0.324, 0.562], [0.054, 0.695, 0.858], [0.054, 0.805, 0.358], [0.240, 0.085, 0.920], [0.240, 0.415, 0.420], [0.282, 0.693, 0.044], [0.282, 0.807, 0.544], [0.376, 0.148, 0.210], [0.376, 0.352, 0.710], [0.624, 0.648, 0.290], [0.624, 0.852, 0.790], [0.718, 0.193, 0.456], [0.718, 0.307, 0.956], [0.760, 0.585, 0.580], [0.760, 0.915, 0.080], [0.946, 0.195, 0.642], [0.946, 0.305, 0.142]]
}



6.
{
  "formula": "K2RbTbMgV2O8",
  "functional": "PBE with a Hubbard U",
  "state": "relaxed",
  "space_group": "P3m1",
  "e_above_lowest_polymorph_ev_per_fu": 1.91,
  "magmom_total_mub_per_fu": 1.99,
  "lattice_angstrom": [[5.959, 0.000, 0.000], [-2.979, 5.160, 0.000], [0.000, 0.000, 9.559]],
  "species": ["K", "K", "Rb", "Tb", "Mg", "V", "V", "O", "O", "O", "O", "O", "O", "O", "O"],
  "frac_coords": [[0.000, 0.000, 0.000], [0.333, 0.667, 0.559], [0.667, 0.333, 0.453], [0.667, 0.333, 0.839], [0.667, 0.333, 0.122], [0.000, 0.000, 0.630], [0.333, 0.667, 0.093], [0.000, 0.000, 0.454], [0.323, 0.162, 0.689], [0.333, 0.667, 0.283], [0.508, 0.016, 0.012], [0.508, 0.492, 0.012], [0.838, 0.162, 0.689], [0.838, 0.677, 0.689], [0.984, 0.492, 0.012]]
}